This record from Materials Project describes a relaxed MgPO7 crystal. The functional is PBE.

Lattice parameters (Å, degrees): 10.7311 10.0317 10.5521 90.00 90.00 90.00
Fractional coordinates of all 72 atoms:
Mg  0.3996  0.8182  0.2217
Mg  0.6004  0.3182  0.2783
Mg  0.1004  0.1818  0.7217
Mg  0.8996  0.6818  0.7783
Mg  0.6004  0.1818  0.7783
Mg  0.3996  0.6818  0.7217
Mg  0.8996  0.8182  0.2783
Mg  0.1004  0.3182  0.2217
P  0.3623  0.4908  0.1308
P  0.6377  0.9908  0.3692
P  0.1377  0.5092  0.6308
P  0.8623  0.0092  0.8692
P  0.6377  0.5092  0.8692
P  0.3623  0.0092  0.6308
P  0.8623  0.4908  0.3692
P  0.1377  0.9908  0.1308
O  0.2389  0.4350  0.1825
O  0.7611  0.9350  0.3175
O  0.2611  0.5650  0.6825
O  0.7389  0.0650  0.8175
O  0.7611  0.5650  0.8175
O  0.2389  0.0650  0.6825
O  0.7389  0.4350  0.3175
O  0.2611  0.9350  0.1825
O  0.4733  0.4119  0.1826
O  0.5267  0.9119  0.3174
O  0.0267  0.5881  0.6826
O  0.9733  0.0881  0.8174
O  0.5267  0.5881  0.8174
O  0.4733  0.0881  0.6826
O  0.9733  0.4119  0.3174
O  0.0267  0.9119  0.1826
O  0.3772  0.6395  0.1591
O  0.6228  0.1395  0.3409
O  0.1228  0.3605  0.6591
O  0.8772  0.8605  0.8409
O  0.6228  0.3605  0.8409
O  0.3772  0.8605  0.6591
O  0.8772  0.6395  0.3409
O  0.1228  0.1395  0.1591
O  0.3420  0.4672  0.9860
O  0.6580  0.9672  0.5140
O  0.1580  0.5328  0.4860
O  0.8420  0.0328  0.0140
O  0.6580  0.5328  0.0140
O  0.3420  0.0328  0.4860
O  0.8420  0.4672  0.5140
O  0.1580  0.9672  0.9860
O  0.5017  0.6817  0.4458
O  0.4983  0.1817  0.0542
O  0.9983  0.3183  0.9458
O  0.0017  0.8183  0.5542
O  0.4983  0.3183  0.5542
O  0.5017  0.8183  0.9458
O  0.0017  0.6817  0.0542
O  0.9983  0.1817  0.4458
O  0.3848  0.7066  0.4251
O  0.6152  0.2066  0.0749
O  0.1152  0.2934  0.9251
O  0.8848  0.7934  0.5749
O  0.6152  0.2934  0.5749
O  0.3848  0.7934  0.9251
O  0.8848  0.7066  0.0749
O  0.1152  0.2066  0.4251
O  0.5323  0.8481  0.0615
O  0.4677  0.3481  0.4385
O  0.9677  0.1519  0.5615
O  0.0323  0.6519  0.9385
O  0.4677  0.1519  0.9385
O  0.5323  0.6519  0.5615
O  0.0323  0.8481  0.4385
O  0.9677  0.3481  0.0615

Properties
Volume = 15.78 A^3/atom
Formation energy from the elements = -1208 meV/atom
Density = 1.96 g/cm³
M_tot = 8.0 μB/cell
E = -5.8361 eV per atom